Np2SO2 | meta-GGA r2SCAN | relaxed

Calculated values
The energy comes out at -40.331 eV per atom. The volume comes out at 91.81 Å³/cell. The formation energy from the elements is -3125 meV per atom. Its symmetry is No. 164.

abc: 3.9891 3.9891 6.6619
angles: 90.00 90.00 120.00
Fractional coordinates of all 5 atoms:
Np  0.3333  0.6667  0.2779
Np  0.6667  0.3333  0.7221
S  0.0000  0.0000  0.0000
O  0.3333  0.6667  0.6268
O  0.6667  0.3333  0.3732